Record 1
Entry from the Materials Project: an optimized crystal structure of Mn2Cu3H24O12F12 (PBE with a Hubbard U).

a = 7.539 Å, b = 7.654 Å, c = 8.261 Å
α = 89.82°, β = 88.00°, γ = 86.28°
Space group P-1 (No. 2)
Asymmetric unit:
Mn: 0.000 0.000 0.000
Mn: 0.500 0.500 0.500
Cu: 0.000 0.000 0.500
Cu: 0.000 0.500 0.000
Cu: 0.500 0.000 0.000
H: 0.029 0.285 0.774
H: 0.052 0.759 0.702
H: 0.110 0.677 0.527
H: 0.202 0.400 0.755
H: 0.240 0.504 0.210
H: 0.292 0.888 0.220
H: 0.319 0.119 0.483
H: 0.330 0.384 0.070
H: 0.335 0.930 0.561
H: 0.353 0.728 0.924
H: 0.479 0.774 0.772
H: 0.486 0.786 0.240
O: 0.022 0.759 0.585
O: 0.073 0.405 0.786
O: 0.245 0.487 0.091
O: 0.252 0.036 0.548
O: 0.424 0.900 0.212
O: 0.473 0.766 0.896
F: 0.084 0.888 0.224
F: 0.096 0.784 0.892
F: 0.217 0.098 0.970
F: 0.270 0.546 0.422
F: 0.408 0.412 0.702
F: 0.492 0.766 0.592

Values from the calculation:
Calculated formation energy: -1612.6 meV per atom
Energy: -4.96 eV/atom
Crystal system: triclinic

Record 2
Entry from the Materials Project: an optimized crystal structure of Li6MnCoP2C2O14 (PBE with a Hubbard U).

a = 8.220 Å, b = 8.223 Å, c = 8.547 Å
α = 93.72°, β = 93.64°, γ = 104.86°
Space group P1 (No. 1)
Asymmetric unit:
Li: 0.000 0.000 0.000
Li: 0.014 0.515 0.456
Li: 0.229 0.770 0.000
Li: 0.248 0.285 0.456
Li: 0.352 0.122 0.832
Li: 0.392 0.664 0.625
Li: 0.499 0.500 0.998
Li: 0.514 0.018 0.455
Li: 0.730 0.269 0.997
Li: 0.744 0.784 0.456
Li: 0.852 0.622 0.832
Li: 0.894 0.162 0.625
Mn: 0.107 0.378 0.067
Mn: 0.607 0.877 0.067
Co: 0.141 0.912 0.395
Co: 0.645 0.413 0.391
P: 0.362 0.633 0.318
P: 0.379 0.150 0.139
P: 0.863 0.132 0.319
P: 0.880 0.651 0.140
C: 0.088 0.859 0.686
C: 0.159 0.429 0.763
C: 0.589 0.359 0.685
C: 0.659 0.930 0.763
O: 0.011 0.094 0.421
O: 0.035 0.306 0.791
O: 0.037 0.808 0.160
O: 0.052 0.823 0.828
O: 0.193 0.463 0.620
O: 0.206 0.476 0.304
O: 0.213 0.983 0.659
O: 0.234 0.189 0.034
O: 0.253 0.522 0.883
O: 0.323 0.781 0.421
O: 0.328 0.099 0.302
O: 0.405 0.679 0.151
O: 0.419 0.005 0.034
O: 0.498 0.270 0.562
O: 0.512 0.596 0.417
O: 0.535 0.805 0.791
O: 0.536 0.308 0.160
O: 0.552 0.322 0.826
O: 0.692 0.964 0.620
O: 0.706 0.976 0.304
O: 0.714 0.484 0.659
O: 0.734 0.689 0.036
O: 0.752 0.023 0.883
O: 0.825 0.282 0.419
O: 0.831 0.601 0.304
O: 0.908 0.176 0.151
O: 0.919 0.505 0.036
O: 0.998 0.768 0.563

Values from the calculation:
Calculated formation energy: -2355.5 meV per atom
Energy: -6.72 eV/atom
Crystal system: triclinic

Record 3
Entry from the Materials Project: an optimized crystal structure of Li2MnF4 (PBE with a Hubbard U).

a = 3.3432 Å, b = 3.3432 Å, c = 25.9350 Å
α = 90.00°, β = 90.00°, γ = 120.00°
Space group R-3m (No. 166, hexagonal axes)
Asymmetric unit:
Li: 0.0000 0.0000 0.2040
Mn: 0.0000 0.0000 0.0000
F: 0.0000 0.0000 0.1260
F: 0.0000 0.0000 0.3705

Values from the calculation:
Calculated formation energy: -2993.3 meV per atom
Energy: -5.44 eV/atom
Energy above the lowest structure with this stoichiometry: 0.065 eV per atom
Crystal system: trigonal

Record 4
Entry from the Materials Project: an optimized crystal structure of Sr3CoRuO6 (PBE with a Hubbard U).

a = 6.633 Å, b = 6.807 Å, c = 6.808 Å
α = 91.66°, β = 92.57°, γ = 92.40°
Space group P1 (No. 1)
Asymmetric unit:
Sr: 0.000 0.000 0.000
Sr: 0.134 0.861 0.499
Sr: 0.273 0.360 0.359
Sr: 0.499 0.136 0.866
Sr: 0.634 0.634 0.725
Sr: 0.771 0.496 0.224
Co: 0.129 0.505 0.853
Co: 0.635 0.990 0.371
Ru: 0.386 0.747 0.111
Ru: 0.886 0.246 0.612
O: 0.103 0.662 0.157
O: 0.168 0.199 0.696
O: 0.290 0.787 0.825
O: 0.354 0.035 0.209
O: 0.418 0.461 0.014
O: 0.483 0.710 0.398
O: 0.603 0.296 0.529
O: 0.669 0.832 0.066
O: 0.790 0.960 0.651
O: 0.853 0.344 0.899
O: 0.919 0.150 0.325
O: 0.985 0.534 0.573

Values from the calculation:
Calculated formation energy: -2368.4 meV per atom
Energy: -6.49 eV/atom
Energy above the lowest structure with this stoichiometry: 0.013 eV per atom
Crystal system: triclinic

Record 5
Entry from the Materials Project: an optimized crystal structure of K4V4As6H12O31 (PBE with a Hubbard U).

a = 6.692 Å, b = 9.289 Å, c = 13.027 Å
α = 106.73°, β = 99.26°, γ = 102.79°
Space group P1 (No. 1)
Asymmetric unit:
K: 0.000 0.000 0.000
K: 0.155 0.428 0.268
K: 0.318 0.012 0.576
K: 0.490 0.432 0.831
V: 0.080 0.338 0.556
V: 0.406 0.090 0.272
V: 0.742 0.767 0.691
V: 0.748 0.659 0.139
As: 0.235 0.723 0.708
As: 0.254 0.706 0.117
As: 0.556 0.253 0.059
As: 0.574 0.389 0.517
As: 0.915 0.038 0.312
As: 0.932 0.176 0.771
H: 0.084 0.403 0.927
H: 0.111 0.652 0.930
H: 0.243 0.778 0.361
H: 0.380 0.776 0.896
H: 0.403 0.024 0.903
H: 0.437 0.771 0.440
H: 0.673 0.445 0.316
H: 0.694 0.619 0.333
H: 0.732 0.276 0.666
H: 0.757 0.152 0.163
H: 0.806 0.973 0.502
H: 0.813 0.807 0.499
O: 0.034 0.786 0.657
O: 0.040 0.624 0.157
O: 0.044 0.288 0.911
O: 0.073 0.422 0.462
O: 0.098 0.211 0.690
O: 0.109 0.114 0.255
O: 0.191 0.532 0.701
O: 0.199 0.604 0.969
O: 0.283 0.725 0.413
O: 0.287 0.823 0.857
O: 0.296 0.897 0.126
O: 0.378 0.316 0.574
O: 0.391 0.216 0.140
O: 0.402 0.002 0.364
O: 0.444 0.140 0.919
O: 0.454 0.807 0.674
O: 0.456 0.647 0.171
O: 0.517 0.320 0.375
O: 0.626 0.430 0.043
O: 0.632 0.588 0.551
O: 0.706 0.232 0.731
O: 0.708 0.096 0.254
O: 0.734 0.882 0.522
O: 0.742 0.735 0.040
O: 0.744 0.533 0.293
O: 0.751 0.691 0.790
O: 0.777 0.327 0.576
O: 0.783 0.198 0.100
O: 0.861 0.997 0.785
O: 0.864 0.839 0.279
O: 0.970 0.106 0.455

Values from the calculation:
Calculated formation energy: -1799.5 meV per atom
Energy: -5.92 eV/atom
Crystal system: triclinic

Record 6
Entry from the Materials Project: an optimized crystal structure of YMnF5 (PBE with a Hubbard U).

a = 4.244 Å, b = 7.031 Å, c = 8.366 Å
α = 90.00°, β = 90.00°, γ = 90.00°
Space group Immm (No. 71)
Asymmetric unit:
Y: 0.000 0.000 0.000
Mn: 0.000 0.000 0.500
F: 0.000 0.000 0.263
F: 0.000 0.312 0.000
F: 0.000 0.500 0.500

Values from the calculation:
Calculated formation energy: -3671.8 meV per atom
Energy: -6.70 eV/atom
Crystal system: orthorhombic

Record 7
Entry from the Materials Project: an optimized crystal structure of SrV2P4O14 (PBE with a Hubbard U).

a = 4.890 Å, b = 7.192 Å, c = 8.067 Å
α = 89.48°, β = 87.14°, γ = 73.99°
Space group P-1 (No. 2)
Asymmetric unit:
Sr: 0.000 0.000 0.000
V: 0.000 0.000 0.500
V: 0.500 0.500 0.000
P: 0.018 0.388 0.249
P: 0.384 0.223 0.707
O: 0.080 0.211 0.358
O: 0.132 0.654 0.907
O: 0.179 0.094 0.711
O: 0.207 0.439 0.653
O: 0.284 0.450 0.202
O: 0.379 0.832 0.426
O: 0.483 0.234 0.886

Values from the calculation:
Calculated formation energy: -2848.0 meV per atom
Energy: -7.50 eV/atom
Crystal system: triclinic

Record 8
Entry from the Materials Project: an optimized crystal structure of Li9Mn2Co5O16 (PBE with a Hubbard U).

a = 3.016 Å, b = 7.782 Å, c = 12.517 Å
α = 89.42°, β = 89.80°, γ = 83.27°
Space group P-1 (No. 2)
Asymmetric unit:
Li: 0.000 0.000 0.000
Li: 0.054 0.877 0.689
Li: 0.184 0.625 0.058
Li: 0.307 0.376 0.440
Li: 0.445 0.120 0.816
Mn: 0.250 0.500 0.751
Co: 0.106 0.753 0.375
Co: 0.391 0.237 0.121
Co: 0.500 0.000 0.500
O: 0.009 0.925 0.846
O: 0.061 0.819 0.522
O: 0.131 0.687 0.226
O: 0.233 0.571 0.898
O: 0.259 0.431 0.601
O: 0.373 0.312 0.270
O: 0.397 0.198 0.984
O: 0.493 0.930 0.350

Values from the calculation:
Calculated formation energy: -1786.7 meV per atom
Energy: -5.78 eV/atom
Energy above the lowest structure with this stoichiometry: 0.077 eV per atom
Crystal system: triclinic

Record 9
Entry from the Materials Project: an optimized crystal structure of Li9Mn2Co5O16 (PBE with a Hubbard U).

a = 10.354 Å, b = 5.752 Å, c = 10.317 Å
α = 90.00°, β = 111.10°, γ = 90.00°
Space group C2/m (No. 12)
Asymmetric unit:
Li: 0.000 0.000 0.000
Li: 0.002 0.245 0.767
Li: 0.241 0.000 0.237
Li: 0.247 0.500 0.235
Mn: 0.000 0.000 0.500
Mn: 0.000 0.500 0.500
Co: 0.000 0.500 0.000
Co: 0.250 0.250 0.000
Co: 0.250 0.250 0.500
O: 0.111 0.252 0.615
O: 0.116 0.500 0.887
O: 0.120 0.268 0.112
O: 0.125 0.500 0.397
O: 0.137 0.000 0.885
O: 0.145 0.000 0.387

Values from the calculation:
Calculated formation energy: -1799.7 meV per atom
Energy: -5.79 eV/atom
Energy above the lowest structure with this stoichiometry: 0.064 eV per atom
Crystal system: monoclinic

Record 10
Entry from the Materials Project: an optimized crystal structure of CdFeO3 (PBE with a Hubbard U).

a = 5.368 Å, b = 7.667 Å, c = 5.489 Å
α = 90.00°, β = 90.71°, γ = 90.00°
Space group P2_1/m (No. 11)
Asymmetric unit:
Cd: 0.008 0.250 0.454
Cd: 0.485 0.250 0.952
Fe: 0.000 0.000 0.000
Fe: 0.500 0.000 0.500
O: 0.104 0.750 0.963
O: 0.193 0.052 0.710
O: 0.296 0.053 0.200
O: 0.412 0.750 0.468

Values from the calculation:
Calculated formation energy: -1308.6 meV per atom
Energy: -5.29 eV/atom
Crystal system: monoclinic

Record 11
Entry from the Materials Project: an optimized crystal structure of MgCo6O10F2 (PBE with a Hubbard U).

a = 4.893 Å, b = 2.888 Å, c = 13.675 Å
α = 90.00°, β = 92.68°, γ = 90.00°
Space group Pm (No. 6)
Asymmetric unit:
Mg: 0.000 0.000 0.000
Co: 0.309 0.000 0.331
Co: 0.430 0.000 0.658
Co: 0.504 0.000 0.945
Co: 0.791 0.500 0.189
Co: 0.816 0.500 0.481
Co: 0.976 0.500 0.803
O: 0.148 0.500 0.395
O: 0.171 0.000 0.867
O: 0.245 0.500 0.713
O: 0.464 0.500 0.263
O: 0.567 0.500 0.585
O: 0.625 0.000 0.415
O: 0.712 0.000 0.098
O: 0.767 0.500 0.923
O: 0.772 0.000 0.751
O: 0.992 0.000 0.244
F: 0.030 0.000 0.550
F: 0.250 0.500 0.039

Values from the calculation:
Calculated formation energy: -1373.1 meV per atom
Energy: -5.58 eV/atom
Energy above the lowest structure with this stoichiometry: 0.018 eV per atom
Crystal system: monoclinic